Material: NiMoN3
Method: DFT, PBE
State: relaxed

a b c (Å): 5.7369 7.6328 8.8879
angles (deg): 98.83 100.30 98.49
Element x y z (fractional)
Ni 0.9996 0.0487 0.1934
Ni 0.0004 0.9513 0.8066
Ni 0.2381 0.2568 0.0262
Ni 0.7619 0.7432 0.9738
Mo 0.1176 0.3256 0.4127
Mo 0.2943 0.3688 0.7430
Mo 0.7057 0.6312 0.2570
Mo 0.8824 0.6744 0.5873
N 0.0566 0.4694 0.6455
N 0.1041 0.8696 0.6225
N 0.1518 0.1725 0.8204
N 0.2126 0.2626 0.2206
N 0.3964 0.2811 0.5733
N 0.4643 0.4691 0.0556
N 0.5357 0.5309 0.9444
N 0.6036 0.7189 0.4267
N 0.7874 0.7374 0.7794
N 0.8482 0.8275 0.1796
N 0.8959 0.1304 0.3775
N 0.9434 0.5306 0.3545

Values from the calculation:
mass density = 3.51 g/cm³
crystal system = triclinic

---

Material: Cs2LiPrBr6
Method: DFT, PBE
State: relaxed

a b c (Å): 8.0608 8.0608 8.0608
angles (deg): 60.00 60.00 60.00
Element x y z (fractional)
Cs 0.2500 0.2500 0.2500
Cs 0.7500 0.7500 0.7500
Li 0.0000 0.0000 0.0000
Pr 0.5000 0.5000 0.5000
Br 0.2446 0.2446 0.7554
Br 0.2446 0.7554 0.2446
Br 0.2446 0.7554 0.7554
Br 0.7554 0.2446 0.2446
Br 0.7554 0.2446 0.7554
Br 0.7554 0.7554 0.2446

Values from the calculation:
mass density = 4.00 g/cm³
crystal system = cubic

---

Material: Na8Mg3ZrP6O24
Method: DFT, PBE
State: relaxed

a b c (Å): 9.0588 9.0588 22.2885
angles (deg): 90.00 90.00 120.00
Element x y z (fractional)
Na 0.0000 0.0000 0.0737
Na 0.0000 0.0000 0.5757
Na 0.0013 0.3696 0.8394
Na 0.0344 0.3440 0.1578
Na 0.0375 0.6946 0.6634
Na 0.3054 0.3428 0.6634
Na 0.3097 0.9656 0.1578
Na 0.3233 0.0236 0.4916
Na 0.3333 0.6667 0.2451
Na 0.3333 0.6667 0.7532
Na 0.3343 0.3020 0.0000
Na 0.3683 0.9987 0.8394
Na 0.3693 0.3687 0.3293
Na 0.6304 0.6317 0.8394
Na 0.6313 0.0006 0.3293
Na 0.6560 0.6903 0.1578
Na 0.6572 0.9625 0.6634
Na 0.6667 0.3333 0.4062
Na 0.6667 0.3333 0.9210
Na 0.6980 0.0323 0.0000
Na 0.7004 0.6767 0.4916
Na 0.9677 0.6657 0.0000
Na 0.9764 0.2996 0.4916
Na 0.9994 0.6307 0.3293
Mg 0.0000 0.0000 0.4294
Mg 0.0000 0.0000 0.9342
Mg 0.3333 0.6667 0.0942
Mg 0.3333 0.6667 0.3971
Mg 0.3333 0.6667 0.5960
Mg 0.3333 0.6667 0.9036
Mg 0.6667 0.3333 0.0637
Mg 0.6667 0.3333 0.2623
Mg 0.6667 0.3333 0.7676
Zr 0.0000 0.0000 0.2299
Zr 0.0000 0.0000 0.7340
Zr 0.6667 0.3333 0.5623
P 0.0376 0.3713 0.9979
P 0.0440 0.6710 0.4985
P 0.2984 0.0008 0.3344
P 0.2991 0.2982 0.8334
P 0.3290 0.3730 0.4985
P 0.3337 0.9624 0.9979
P 0.3734 0.0366 0.6666
P 0.3773 0.3376 0.1651
P 0.6270 0.9560 0.4985
P 0.6287 0.6663 0.9979
P 0.6624 0.0397 0.1651
P 0.6632 0.6266 0.6666
P 0.7018 0.0009 0.8334
P 0.7024 0.7016 0.3344
P 0.9603 0.6227 0.1651
P 0.9634 0.3368 0.6666
P 0.9992 0.2976 0.3344
P 0.9991 0.7009 0.8334
O 0.0176 0.8260 0.4935
O 0.0191 0.1910 0.9924
O 0.0263 0.2082 0.2781
O 0.0266 0.8153 0.7746
O 0.1182 0.4813 0.9410
O 0.1200 0.6340 0.4431
O 0.1420 0.4930 0.6590
O 0.1419 0.6493 0.1599
O 0.1476 0.6946 0.5558
O 0.1489 0.4533 0.0539
O 0.1623 0.4739 0.3373
O 0.1623 0.6882 0.8349
O 0.1719 0.9809 0.9924
O 0.1740 0.1915 0.4935
O 0.1819 0.9737 0.2781
O 0.1847 0.2112 0.7746
O 0.1920 0.1722 0.1717
O 0.1925 0.0216 0.6691
O 0.2095 0.1800 0.8858
O 0.2137 0.0292 0.3895
O 0.3043 0.8511 0.0539
O 0.3054 0.4530 0.5558
O 0.3118 0.4741 0.8349
O 0.3116 0.8377 0.3373
O 0.3507 0.4926 0.1599
O 0.3510 0.8580 0.6590
O 0.3630 0.8818 0.9410
O 0.3660 0.4861 0.4431
O 0.4528 0.3004 0.1099
O 0.4555 0.1509 0.6094
O 0.4754 0.1613 0.3271
O 0.4749 0.3136 0.8248
O 0.4813 0.3615 0.2225
O 0.4842 0.1232 0.7206
O 0.4942 0.3531 0.5046
O 0.4950 0.1425 0.0033
O 0.5070 0.6490 0.6590
O 0.5074 0.8581 0.1599
O 0.5139 0.8800 0.4431
O 0.5187 0.6370 0.9410
O 0.5261 0.6884 0.3373
O 0.5259 0.8377 0.8349
O 0.5467 0.6957 0.0539
O 0.5470 0.8524 0.5558
O 0.6385 0.1197 0.2225
O 0.6390 0.5158 0.7206
O 0.6469 0.1412 0.5046
O 0.6476 0.5050 0.0033
O 0.6864 0.1612 0.8248
O 0.6859 0.5246 0.3271
O 0.6954 0.5445 0.6094
O 0.6996 0.1524 0.1099
O 0.7888 0.9734 0.7746
O 0.7918 0.8181 0.2781
O 0.8085 0.9824 0.4935
O 0.8090 0.8281 0.9924
O 0.8155 0.7863 0.3895
O 0.8200 0.0294 0.8858
O 0.8278 0.0198 0.1717
O 0.8290 0.8075 0.6691
O 0.8387 0.3141 0.3271
O 0.8388 0.5251 0.8248
O 0.8476 0.5472 0.1099
O 0.8491 0.3046 0.6094
O 0.8575 0.3524 0.0033
O 0.8588 0.5058 0.5046
O 0.8768 0.3610 0.7206
O 0.8803 0.5187 0.2225
O 0.9708 0.1845 0.3895
O 0.9706 0.7905 0.8858
O 0.9784 0.1710 0.6691
O 0.9802 0.8080 0.1717

Values from the calculation:
mass density = 2.89 g/cm³
crystal system = trigonal

---

Material: HgC2Br4N2
Method: DFT, PBE
State: relaxed

a b c (Å): 10.3359 17.4189 10.0758
angles (deg): 90.00 95.94 90.00
Element x y z (fractional)
Hg 0.1671 0.0069 0.1240
Hg 0.1671 0.4931 0.6240
Hg 0.8329 0.5069 0.3760
Hg 0.8329 0.9931 0.8760
C 0.2390 0.1145 0.7350
C 0.2390 0.3855 0.2350
C 0.3368 0.6466 0.1370
C 0.3368 0.8534 0.6370
C 0.6632 0.1466 0.3630
C 0.6632 0.3534 0.8630
C 0.7610 0.6145 0.7650
C 0.7610 0.8855 0.2650
Br 0.0278 0.1196 0.1298
Br 0.0278 0.3804 0.6298
Br 0.1959 0.1516 0.5712
Br 0.1959 0.3484 0.0712
Br 0.3029 0.6055 0.6636
Br 0.3029 0.8945 0.1636
Br 0.4569 0.6314 0.2758
Br 0.4569 0.8686 0.7758
Br 0.5431 0.1314 0.2242
Br 0.5431 0.3686 0.7242
Br 0.6971 0.1055 0.8364
Br 0.6971 0.3945 0.3364
Br 0.8041 0.6516 0.9288
Br 0.8041 0.8484 0.4288
Br 0.9722 0.6196 0.3702
Br 0.9722 0.8804 0.8702
N 0.2569 0.6564 0.0476
N 0.2569 0.8436 0.5476
N 0.2676 0.0902 0.8423
N 0.2676 0.4098 0.3423
N 0.7324 0.5902 0.6577
N 0.7324 0.9098 0.1577
N 0.7431 0.1564 0.4524
N 0.7431 0.3436 0.9524

Values from the calculation:
mass density = 2.11 g/cm³
crystal system = monoclinic

---

Number 1: total magnetic moment 0.00 μB/f.u., E -8.0128 eV per atom. Number 2: total magnetic moment 0.00 μB/f.u., E -3.6541 eV per atom. Number 3: total magnetic moment 0.00 μB/f.u., E -6.6129 eV per atom. Number 4: total magnetic moment 0.00 μB/f.u., E -4.4328 eV per atom.